A plane-wave DFT calculation with PBE was carried out for crystalline LuMnGe2 at its relaxed geometry.

POSCAR file:
```
LuMnGe2
1.0
2.698 -9.182 0.000
2.698 9.182 0.000
0.000 0.000 8.198
Mn Ge Lu
6 12 6
Cartesian
2.698 0.000 6.160
1.349 4.591 2.066
1.349 -4.591 6.131
1.349 -4.591 2.066
2.698 0.000 2.038
1.349 4.591 6.131
2.698 -5.460 4.099
2.698 2.537 1.274
1.329 0.000 4.099
4.067 0.000 4.099
2.698 5.309 0.000
2.698 5.460 4.099
2.698 -5.309 0.000
1.326 0.000 0.000
2.698 -2.537 1.274
2.698 2.537 6.924
4.070 0.000 0.000
2.698 -2.537 6.924
2.698 2.582 4.099
2.698 -7.462 6.131
2.698 -2.582 4.099
2.698 -7.462 2.066
2.698 7.462 6.131
2.698 7.462 2.066
```

Computed properties:
Raw total energy: -6.242 eV/atom
Total moment: 1.18 μB/f.u.



A plane-wave DFT calculation with PBE was carried out for crystalline Li3Ni11As7 at its relaxed geometry.

POSCAR file:
```
Li3Ni11As7
1.0
0.000 0.000 -3.725
-4.658 -8.116 0.000
-4.675 8.126 0.000
As Li Ni
7 3 11
Cartesian
-2.563 -2.381 -1.862
-5.451 -4.747 -1.862
-6.774 2.363 0.000
-3.888 4.689 0.000
-3.308 1.044 0.000
-6.044 -0.992 -1.862
-4.653 -8.061 0.000
-4.776 6.354 -1.862
-4.665 2.717 -1.862
-4.665 -2.701 0.000
-7.760 0.776 -1.862
-1.438 0.996 -1.862
-6.216 4.632 0.000
-7.471 -1.316 0.000
-5.549 0.431 0.000
-3.806 -0.361 -1.862
-2.084 -0.963 0.000
-2.244 3.063 0.000
-7.111 -3.123 -1.862
-3.076 -4.636 -1.862
-4.443 -5.805 0.000
```

Computed properties:
Raw total energy: -5.255 eV/atom



A plane-wave DFT calculation with PBE was carried out for crystalline ErTlZn at its relaxed geometry.

POSCAR file:
```
ErTlZn
1.0
2.354 -4.077 0.000
2.354 4.077 0.000
0.000 0.000 7.164
Er Zn Tl
2 2 2
Cartesian
0.000 0.000 0.000
0.000 0.000 3.582
2.354 -1.359 1.791
2.354 1.359 5.373
2.354 1.359 1.791
2.354 -1.359 5.373
```

Computed properties:
Raw total energy: -3.012 eV/atom
Total moment: 0.00 μB/f.u.



A plane-wave DFT calculation with PBE was carried out for crystalline BaTb2SmO6 at its relaxed geometry.

POSCAR file:
```
BaTb2SmO6
1.0
8.657 0.000 0.000
0.000 8.657 0.000
0.000 0.000 8.807
O Tb Sm Ba
24 8 4 4
Cartesian
6.833 0.000 5.887
6.067 7.128 0.000
2.590 1.529 0.000
6.067 1.529 0.000
2.590 7.128 0.000
0.000 1.824 7.323
4.329 2.061 2.537
4.329 6.596 2.537
7.128 6.067 4.403
2.061 4.329 1.866
4.329 2.061 6.269
1.529 2.590 4.403
6.596 4.329 1.866
2.061 4.329 6.941
6.833 0.000 2.920
1.824 0.000 2.920
0.000 6.833 7.323
1.529 6.067 4.403
4.329 6.596 6.269
1.824 0.000 5.887
7.128 2.590 4.403
6.596 4.329 6.941
0.000 6.833 1.483
0.000 1.824 1.483
2.120 6.538 6.605
2.120 2.120 2.202
6.538 2.120 2.202
2.120 6.538 2.202
6.538 2.120 6.605
2.120 2.120 6.605
6.538 6.538 2.202
6.538 6.538 6.605
0.000 0.000 4.403
0.000 0.000 0.000
0.000 4.329 4.403
4.329 0.000 0.000
4.329 4.329 0.000
0.000 4.329 0.000
4.329 4.329 4.403
4.329 0.000 4.403
```

Computed properties:
E above lowest polymorph: 72 meV/atom
Total moment: 1.00 μB/f.u.